## Te4MoW2S2 (PBE-GGA)

Data for a relaxed structure of Te4MoW2S2.

Unit cell a=3.4258 b=3.4258 c=31.6675 alpha=90.00 beta=90.00 gamma=120.00
With the nearest neighbours (Å) after each atom.
Positions (direct):
Te 0.0000 0.0000 0.1723  3 W 2.72
Te 0.0000 0.0000 0.2903  3 W 2.72
Te 0.0000 0.0000 0.7097  3 W 2.72
Te 0.0000 0.0000 0.8277  3 W 2.72
Mo 0.0000 0.0000 0.0000  6 S 2.48
W 0.6667 0.3333 0.2313  6 Te 2.72
W 0.6667 0.3333 0.7687  6 Te 2.72
S 0.6667 0.3333 0.0473  3 Mo 2.48
S 0.6667 0.3333 0.9527  3 Mo 2.48

calculated total energy = -6.6719 eV per atom
theoretical density = 5.36 Mg/m³


## Te4Mo3WS4 (PBE-GGA)

Data for a relaxed structure of Te4Mo3WS4.

Unit cell a=3.3579 b=3.3579 c=38.2968 alpha=90.00 beta=90.00 gamma=120.00
With the nearest neighbours (Å) after each atom.
Positions (direct):
Te 0.0000 0.0000 0.0000  3 Mo 2.71
Te 0.0000 0.0000 0.0988  3 Mo 2.71
Te 0.0000 0.0000 0.3757  3 Mo 2.71
Te 0.0000 0.0000 0.4745  3 Mo 2.71
Mo 0.0000 0.0000 0.2373  6 S 2.46
Mo 0.6667 0.3333 0.0494  6 Te 2.71
Mo 0.6667 0.3333 0.4251  6 Te 2.71
W 0.0000 0.0000 0.6130  6 S 2.46
S 0.6667 0.3333 0.1977  3 Mo 2.46
S 0.6667 0.3333 0.2768  3 Mo 2.46
S 0.6667 0.3333 0.5733  3 W 2.46
S 0.6667 0.3333 0.6527  3 W 2.46

calculated total energy = -6.6978 eV per atom
theoretical density = 4.93 Mg/m³


no.,E above lowest polymorph (eV/atom),ΔE_f (meV per atom)
1,0.046,-383
2,0.000,-648